a | # LiCrO2

A relaxed LiCrO2 crystal (PBE+U, the Materials Project).

Lattice parameters (Å, degrees): 2.9535 5.0598 9.9773 90.00 90.00 90.00
Positions (direct):
Cr  0.0001  0.3330  0.5005
Li  0.5000  0.8335  0.7601
O  0.5000  0.1683  0.6115
O  0.5001  0.8317  0.1115
O  0.0001  0.3317  0.1116
O  0.5000  0.4980  0.3874
O  0.0000  0.6683  0.6116
Cr  0.5000  0.8331  0.5005
Li  0.0000  0.6666  0.2601
O  0.5000  0.5020  0.8874
O  0.0000  0.0020  0.8874
O  0.0000  0.9980  0.3874
Cr  0.0001  0.6670  0.0004
Li  0.5000  0.1665  0.2601
Li  0.0000  0.3334  0.7601
Cr  0.5001  0.1669  0.0005

Largest piezoelectric modulus   1.43 C/m²
Total magnetic moment   0.00 μB per formula unit

b | # LiCrO2

A relaxed LiCrO2 crystal (PBE+U, the Materials Project).

Lattice parameters (Å, degrees): 5.1653 5.1268 5.8888 90.00 90.00 109.18
Positions (direct):
O  0.2731  0.7572  0.5013
O  0.7269  0.2428  0.0013
Li  0.0000  0.0000  0.5001
Cr  0.5000  0.5000  0.9981
Li  0.0000  0.5000  0.7499
Cr  0.5000  0.0000  0.7519
Cr  0.5000  0.5000  0.4981
O  0.7269  0.2428  0.5013
O  0.2731  0.2572  0.2487
O  0.7269  0.7428  0.2487
Li  0.0000  0.5000  0.2499
O  0.7269  0.7428  0.7487
Li  0.0000  0.0000  0.0001
Cr  0.5000  0.0000  0.2519
O  0.2731  0.7572  0.0013
O  0.2731  0.2572  0.7487

Q: Which of them is the least stable? A: a.

a | # Li2V3WO8

A relaxed Li2V3WO8 crystal (PBE+U, the Materials Project).

Lattice parameters (Å, degrees): 6.1188 10.5589 6.0361 105.37 59.62 90.07
Positions (direct):
V  0.9999  0.4999  0.4999
V  0.9999  0.5000  0.0001
V  0.5001  0.0000  0.9998
O  0.4080  0.8772  0.7368
O  0.1399  0.1280  0.7205
O  0.6392  0.6230  0.2643
Li  0.9325  0.1940  0.1364
O  0.6424  0.6278  0.7170
O  0.6379  0.1006  0.7247
W  0.7501  0.7495  0.4964
V  0.5002  0.9999  0.4998
O  0.1366  0.6008  0.7267
V  0.9999  0.0001  0.5003
Li  0.4333  0.6939  0.1337
O  0.3621  0.8994  0.2754
O  0.3576  0.3722  0.2830
O  0.5920  0.1228  0.2632
O  0.3608  0.3770  0.7357
O  0.9055  0.3786  0.7413
O  0.8600  0.8720  0.2795
O  0.8543  0.8775  0.7369
V  0.5001  0.4999  0.4999
W  0.2499  0.2505  0.5037
O  0.8634  0.3992  0.2733
Li  0.5667  0.3061  0.8664
O  0.0945  0.6214  0.2588
Li  0.0675  0.8060  0.8636
O  0.1457  0.1226  0.2631

Total magnetic moment   1.00 μB per formula unit
Crystal system   triclinic

b | # Li2V3WO8

A relaxed Li2V3WO8 crystal (PBE+U, the Materials Project).

Lattice parameters (Å, degrees): 8.5125 8.6367 8.6811 90.06 90.11 90.17
Positions (direct):
O  0.1327  0.8550  0.8671
O  0.1310  0.1378  0.1363
O  0.3634  0.8679  0.6450
O  0.3674  0.6358  0.8652
O  0.3853  0.1101  0.8845
O  0.3618  0.1392  0.3642
Li  0.2486  0.2492  0.7470
V  0.3676  0.1185  0.1242
Li  0.7504  0.2479  0.2456
W  0.6236  0.1246  0.8733
O  0.1184  0.1121  0.6027
O  0.3685  0.3573  0.1384
O  0.6467  0.8661  0.3636
Li  0.4981  0.0021  0.5027
O  0.6098  0.1167  0.1094
Li  0.0018  0.5031  0.5039
O  0.1167  0.3863  0.8879
O  0.6310  0.1414  0.6393
O  0.6231  0.8961  0.8899
O  0.8637  0.8618  0.1416
O  0.6171  0.6126  0.6127
O  0.0981  0.8837  0.3750
O  0.3848  0.6131  0.3924
V  0.1200  0.1253  0.3685
O  0.6453  0.6327  0.1394
V  0.1305  0.6221  0.8769
O  0.1370  0.6371  0.6371
O  0.6070  0.3884  0.3795
O  0.8637  0.1308  0.8553
O  0.8819  0.1115  0.3856
O  0.3879  0.8840  0.1161
Li  0.0014  0.9981  0.9987
V  0.8736  0.8823  0.3776
O  0.8795  0.8899  0.6074
O  0.8691  0.6442  0.3638
O  0.1068  0.6121  0.1239
V  0.8754  0.1322  0.6196
V  0.8825  0.3727  0.8687
Li  0.4985  0.4970  0.9993
V  0.3778  0.6259  0.6326
W  0.8769  0.6239  0.1264
V  0.6215  0.8785  0.1295
W  0.1230  0.8740  0.6243
Li  0.2519  0.7504  0.2519
V  0.1256  0.3682  0.1176
O  0.1441  0.3710  0.3617
O  0.8642  0.3647  0.6356
O  0.3876  0.3847  0.6091
W  0.3748  0.3753  0.3746
O  0.6360  0.3534  0.8680
V  0.6273  0.6303  0.3831
O  0.8863  0.6140  0.8924
O  0.8814  0.3884  0.1074
Li  0.7507  0.7492  0.7504
V  0.3732  0.8702  0.8813
V  0.6279  0.3792  0.6249

Total magnetic moment   7.00 μB per formula unit
Crystal system   triclinic

Q: Which of them is the least stable? A: b.

a | # KLi2FeO3

A relaxed KLi2FeO3 crystal (PBE+U, the Materials Project).

Lattice parameters (Å, degrees): 5.4991 5.4991 6.1254 90.00 90.00 106.84
Positions (direct):
Li  0.2322  0.7678  0.5000
K  0.3249  0.3249  0.2500
O  0.4839  0.8397  0.2500
Fe  0.8182  0.8181  0.2500
O  0.5161  0.1603  0.7500
Fe  0.1817  0.1817  0.7500
O  0.8397  0.4839  0.2500
O  0.0000  0.0000  0.0000
Li  0.7678  0.2322  0.5000
K  0.6751  0.6751  0.7500
Li  0.7678  0.2322  0.0000
Li  0.2322  0.7678  0.0000
O  0.0000  0.0000  0.5000
O  0.1603  0.5161  0.7500

Total magnetic moment   0.00 μB per formula unit
Crystal system   orthorhombic

b | # KLi2FeO3

A relaxed KLi2FeO3 crystal (PBE+U, the Materials Project).

Lattice parameters (Å, degrees): 6.1378 6.5504 8.7928 90.00 90.00 90.00
Positions (direct):
K  0.2500  0.8223  0.5109
Li  0.5053  0.0051  0.7691
O  0.7500  0.3450  0.8278
Li  0.0053  0.4949  0.2691
O  0.5000  0.5000  0.5000
Li  0.4947  0.4949  0.2691
K  0.2500  0.3223  0.9891
O  0.2500  0.6629  0.8173
O  0.7500  0.8450  0.6722
Li  0.0053  0.9949  0.2309
Fe  0.7500  0.6838  0.4962
Li  0.5053  0.5051  0.7309
O  0.2500  0.1550  0.3278
Li  0.4947  0.9949  0.2309
O  0.2500  0.6550  0.1722
Li  0.9947  0.5051  0.7309
Fe  0.2500  0.8162  0.9962
O  0.7500  0.3371  0.1827
O  0.0000  0.0000  0.0000
O  0.0000  0.5000  0.5000
K  0.7500  0.6777  0.0109
Fe  0.2500  0.3162  0.5038
Li  0.9947  0.0051  0.7691
O  0.5000  0.0000  0.0000
O  0.7500  0.8371  0.3173
Fe  0.7500  0.1838  0.0038
K  0.7500  0.1777  0.4891
O  0.2500  0.1629  0.6827

Total magnetic moment   1.00 μB per formula unit
Crystal system   orthorhombic

Q: Which of them is the least stable? A: b.

a | # Li2FeSi4O10

A relaxed Li2FeSi4O10 crystal (PBE+U, the Materials Project).

Lattice parameters (Å, degrees): 6.9313 7.7717 9.5778 100.74 79.80 62.80
Positions (direct):
Si  0.6316  0.6241  0.2521
Si  0.2178  0.5935  0.2247
Fe  0.7693  0.3010  0.4259
O  0.4419  0.6169  0.1707
O  0.1497  0.5995  0.3943
O  0.6099  0.8387  0.2367
Li  0.5991  0.1920  0.9533
O  0.4114  0.3901  0.5814
O  0.7101  0.6346  0.8856
O  0.7697  0.9339  0.0079
Li  0.7041  0.6951  0.5918
O  0.1246  0.5630  0.8619
O  0.0301  0.7777  0.1782
Si  0.1213  0.2661  0.1443
O  0.8862  0.7977  0.7071
Si  0.8787  0.7339  0.8557
O  0.9699  0.2223  0.8218
O  0.3901  0.1613  0.7633
O  0.3367  0.8393  0.7128
O  0.8754  0.4370  0.1381
Si  0.3684  0.3759  0.7479
Si  0.7822  0.4065  0.7753
O  0.6633  0.1607  0.2872
O  0.2303  0.0661  0.9921
O  0.2899  0.3654  0.1144
Li  0.2959  0.3049  0.4082
Si  0.2309  0.0661  0.8158
O  0.5581  0.3831  0.8293
Fe  0.2307  0.6990  0.5741
O  0.8503  0.4005  0.6057
O  0.5886  0.6099  0.4186
O  0.1138  0.2023  0.2929
Li  0.4009  0.8080  0.0467
Si  0.7691  0.9339  0.1842

Total magnetic moment   4.00 μB per formula unit
Crystal system   triclinic

b | # Li2FeSi4O10

A relaxed Li2FeSi4O10 crystal (PBE+U, the Materials Project).

Lattice parameters (Å, degrees): 7.1480 9.5432 14.3358 90.00 90.00 90.00
Positions (direct):
O  0.5835  0.4664  0.5711
O  0.7005  0.2615  0.7605
O  0.4886  0.6299  0.3413
Si  0.7400  0.4388  0.1023
O  0.7995  0.7385  0.2605
O  0.6985  0.5136  0.8498
O  0.0835  0.0336  0.4289
Si  0.2400  0.0612  0.8977
Li  0.4281  0.8399  0.0315
O  0.3165  0.2131  0.8601
Si  0.1815  0.9024  0.7162
Si  0.0373  0.9732  0.0673
Si  0.4627  0.0268  0.5673
O  0.9165  0.5336  0.0711
O  0.0893  0.0839  0.9833
O  0.1985  0.9864  0.1502
Li  0.0719  0.1601  0.5315
O  0.6710  0.9872  0.6071
O  0.6835  0.7131  0.6399
Si  0.7600  0.5612  0.6023
Fe  0.5094  0.3021  0.6592
Si  0.7623  0.8661  0.6752
O  0.5893  0.4161  0.0167
O  0.5114  0.1299  0.1587
Si  0.7377  0.1339  0.1752
O  0.8774  0.4875  0.6884
Li  0.6802  0.0868  0.8270
O  0.3290  0.4872  0.8929
Li  0.9281  0.6601  0.9685
Li  0.3198  0.5868  0.6730
Si  0.2377  0.3661  0.8248
O  0.2005  0.2385  0.2395
Fe  0.4906  0.8021  0.8408
O  0.5392  0.6903  0.9628
Si  0.6815  0.5976  0.2838
Si  0.2623  0.6339  0.3248
Fe  0.9906  0.6979  0.1592
O  0.8015  0.4864  0.3498
Si  0.9627  0.4732  0.4327
Li  0.8198  0.9132  0.3270
O  0.4608  0.1903  0.5372
Si  0.2600  0.9388  0.3977
O  0.8290  0.0128  0.1071
O  0.4107  0.9161  0.4833
Si  0.5373  0.5268  0.9327
O  0.2956  0.3983  0.7177
O  0.2995  0.7615  0.7395
O  0.1710  0.5128  0.3929
O  0.1835  0.7869  0.3601
Fe  0.0094  0.1979  0.3408
Li  0.5719  0.3399  0.4685
Si  0.3185  0.0976  0.2162
O  0.3015  0.0136  0.6502
O  0.0114  0.3701  0.8413
O  0.4165  0.9664  0.9289
O  0.2044  0.6017  0.2177
O  0.9886  0.8701  0.6587
O  0.7956  0.1017  0.2823
O  0.1226  0.9875  0.8116
O  0.7044  0.8983  0.7823
O  0.8165  0.2869  0.1399
O  0.6226  0.5125  0.1884
Li  0.1802  0.4132  0.1730
O  0.9608  0.3097  0.4628
Si  0.8185  0.4024  0.7838
O  0.0392  0.8097  0.0372
O  0.9107  0.5839  0.5167
O  0.3774  0.0125  0.3116

Total magnetic moment   4.00 μB per formula unit
Crystal system   orthorhombic

Q: Which of them is the least stable? A: b.

a | # Li3CrFe3O8

A relaxed Li3CrFe3O8 crystal (PBE+U, the Materials Project).

Lattice parameters (Å, degrees): 5.1983 7.8606 7.8805 81.71 70.96 83.96
Positions (direct):
O  0.2697  0.1597  0.7714
O  0.7234  0.9782  0.8485
O  0.7155  0.0985  0.4852
Fe  0.4830  0.1869  0.9431
Li  0.0000  0.5000  0.5000
Fe  0.4960  0.4333  0.1866
O  0.2845  0.9015  0.5148
O  0.7126  0.4838  0.3582
O  0.7249  0.3453  0.7125
O  0.2758  0.4138  0.0181
O  0.2932  0.2816  0.4122
O  0.7303  0.8403  0.2286
O  0.7068  0.7184  0.5878
O  0.2845  0.7807  0.9048
O  0.2751  0.6547  0.2875
Fe  0.5040  0.5667  0.8134
Li  0.9988  0.6176  0.1201
O  0.2874  0.5162  0.6418
Fe  0.5055  0.0640  0.3076
Li  0.0004  0.8828  0.3749
Li  0.9996  0.1172  0.6251
Fe  0.4945  0.9360  0.6924
O  0.2766  0.0218  0.1515
Li  0.0012  0.3824  0.8799
Li  0.0000  0.0000  0.0000
Fe  0.5170  0.8131  0.0569
O  0.7155  0.2193  0.0952
O  0.7242  0.5862  0.9819
Cr  0.4911  0.6877  0.4377
Cr  0.5089  0.3123  0.5623

Crystal system   triclinic

b | # Li3CrFe3O8

A relaxed Li3CrFe3O8 crystal (PBE+U, the Materials Project).

Lattice parameters (Å, degrees): 5.7114 5.7114 9.5032 90.00 90.00 119.90
Positions (direct):
Li  0.8324  0.1676  0.4448
Li  0.1676  0.8324  0.9448
Fe  0.3563  0.1771  0.7136
Fe  0.8217  0.1783  0.7142
O  0.4839  0.5161  0.3475
O  0.3325  0.1745  0.0947
Cr  0.6653  0.3347  0.9960
Li  0.3351  0.1669  0.4456
Li  0.6649  0.8331  0.9456
O  0.5083  0.0296  0.8471
Cr  0.3347  0.6653  0.4960
O  0.9704  0.4917  0.8471
O  0.8333  0.1667  0.0939
O  0.9993  0.0007  0.3112
O  0.4917  0.9704  0.3471
Li  0.8331  0.6649  0.4456
Li  0.1669  0.3351  0.9456
O  0.5161  0.4839  0.8475
O  0.1667  0.8333  0.5939
Fe  0.6437  0.8229  0.2136
Fe  0.1771  0.3563  0.2136
O  0.0296  0.5083  0.3471
O  0.8255  0.6675  0.0947
O  0.0007  0.9993  0.8112
Fe  0.8229  0.6437  0.7136
O  0.6670  0.3330  0.5865
Fe  0.1783  0.8217  0.2142
O  0.1745  0.3325  0.5947
O  0.3330  0.6670  0.0865
O  0.6675  0.8255  0.5947

Total magnetic moment   17.00 μB per formula unit
Crystal system   orthorhombic

Q: Which of them is the least stable? A: b.